! PBE-GGA LaAg2Ge2, relaxed; values from VASP
! ρ = 7.8 Mg/m³
! Symmetry = No. 139
! V = 21.4 Å³/atom
! E_form = -2.4 eV per formula unit
&SYSTEM
  ibrav = 0, nat = 10, ntyp = 3
/
ATOMIC_SPECIES
La 138.91 La.upf
Ag 107.87 Ag.upf
Ge 72.64 Ge.upf
CELL_PARAMETERS angstrom
4.398 0.000 0.000
0.000 4.398 0.000
0.000 0.000 11.059
ATOMIC_POSITIONS crystal
La 0.000 0.000 0.000
La 0.500 0.500 0.500
Ag 0.000 0.500 0.250
Ag 0.000 0.500 0.750
Ag 0.500 0.000 0.250
Ag 0.500 0.000 0.750
Ge 0.000 0.000 0.388
Ge 0.000 0.000 0.612
Ge 0.500 0.500 0.112
Ge 0.500 0.500 0.888


! PBE-GGA LaAgGe, relaxed; values from VASP
! ρ = 7.2 Mg/m³
! Symmetry = No. 186
! V = 24.4 Å³/atom
! E_form = -1.9 eV per formula unit
&SYSTEM
  ibrav = 0, nat = 6, ntyp = 3
/
ATOMIC_SPECIES
La 138.91 La.upf
Ag 107.87 Ag.upf
Ge 72.64 Ge.upf
CELL_PARAMETERS angstrom
4.605 0.000 0.000
-2.303 3.988 0.000
0.000 0.000 7.972
ATOMIC_POSITIONS crystal
La 0.000 0.000 0.000
La 0.000 0.000 0.500
Ag 0.333 0.667 0.263
Ag 0.667 0.333 0.763
Ge 0.333 0.667 0.715
Ge 0.667 0.333 0.215


! PBE-GGA La3AgGeS7, relaxed; values from VASP
! ρ = 4.8 Mg/m³
! M_tot = 0.0 μB/f.u.
! Symmetry = No. 173
! V = 23.6 Å³/atom
! Total energy after the MP2020 corrections = -6.079 eV/atom
! E_form = -21.7 eV per formula unit
&SYSTEM
  ibrav = 0, nat = 24, ntyp = 4
/
ATOMIC_SPECIES
La 138.91 La.upf
Ag 107.87 Ag.upf
Ge 72.64 Ge.upf
S 32.06 S.upf
CELL_PARAMETERS angstrom
10.522 0.000 0.000
-5.261 9.113 0.000
0.000 0.000 5.898
ATOMIC_POSITIONS crystal
La 0.124 0.359 0.000
La 0.235 0.876 0.000
La 0.359 0.235 0.500
La 0.641 0.765 0.000
La 0.765 0.124 0.500
La 0.876 0.641 0.500
Ag 0.000 0.000 0.442
Ag 0.000 0.000 0.942
Ge 0.333 0.667 0.584
Ge 0.667 0.333 0.084
S 0.091 0.266 0.486
S 0.109 0.587 0.735
S 0.174 0.909 0.486
S 0.266 0.174 0.986
S 0.333 0.667 0.209
S 0.413 0.522 0.735
S 0.478 0.891 0.735
S 0.522 0.109 0.235
S 0.587 0.478 0.235
S 0.667 0.333 0.709
S 0.734 0.826 0.486
S 0.826 0.091 0.986
S 0.891 0.413 0.235
S 0.909 0.734 0.986


! PBE-GGA Li3Ag3Ge2, relaxed; values from VASP
! ρ = 6.2 Mg/m³
! M_tot = 0.0 μB/f.u.
! Symmetry = No. 47
! V = 16.4 Å³/atom
! E_form = -1.3 eV per formula unit
&SYSTEM
  ibrav = 0, nat = 8, ntyp = 3
/
ATOMIC_SPECIES
Li 6.94 Li.upf
Ag 107.87 Ag.upf
Ge 72.64 Ge.upf
CELL_PARAMETERS angstrom
4.047 0.000 0.000
0.000 4.067 0.000
0.000 0.000 7.960
ATOMIC_POSITIONS crystal
Li 0.000 0.000 0.000
Li 0.000 0.500 0.251
Li 0.000 0.500 0.749
Ag 0.000 0.000 0.500
Ag 0.500 0.500 0.000
Ag 0.500 0.500 0.500
Ge 0.500 0.000 0.249
Ge 0.500 0.000 0.751


! PBE-GGA MgAg2Ge2O6, relaxed; values from VASP
! ρ = 5.5 Mg/m³
! M_tot = 0.0 μB/f.u.
! Symmetry = No. 25
! V = 13.2 Å³/atom
! Total energy after the MP2020 corrections = -5.763 eV/atom
! E_form = -17.2 eV per formula unit
&SYSTEM
  ibrav = 0, nat = 11, ntyp = 4
/
ATOMIC_SPECIES
Mg 24.30 Mg.upf
Ag 107.87 Ag.upf
Ge 72.64 Ge.upf
O 16.00 O.upf
CELL_PARAMETERS angstrom
2.892 0.000 0.000
0.000 8.532 0.000
0.000 0.000 5.885
ATOMIC_POSITIONS crystal
Mg 0.000 0.000 0.000
Ag 0.000 0.000 0.492
Ag 0.000 0.500 0.459
Ge 0.500 0.309 0.972
Ge 0.500 0.691 0.972
O 0.000 0.210 0.152
O 0.000 0.329 0.771
O 0.000 0.671 0.771
O 0.000 0.790 0.152
O 0.500 0.000 0.799
O 0.500 0.500 0.120


! PBE-GGA MgAg2Ge2O6, relaxed; values from VASP
! ρ = 6.0 Mg/m³
! M_tot = 0.0 μB/f.u.
! Symmetry = No. 25
! V = 12.0 Å³/atom
! Total energy after the MP2020 corrections = -5.706 eV/atom
! E_form = -16.6 eV per formula unit
&SYSTEM
  ibrav = 0, nat = 11, ntyp = 4
/
ATOMIC_SPECIES
Mg 24.30 Mg.upf
Ag 107.87 Ag.upf
Ge 72.64 Ge.upf
O 16.00 O.upf
CELL_PARAMETERS angstrom
2.907 0.000 0.000
0.000 7.472 0.000
0.000 0.000 6.099
ATOMIC_POSITIONS crystal
Mg 0.000 0.000 0.000
Ag 0.500 0.000 0.615
Ag 0.500 0.500 0.790
Ge 0.000 0.277 0.261
Ge 0.000 0.723 0.261
O 0.000 0.000 0.327
O 0.000 0.500 0.134
O 0.500 0.200 0.036
O 0.500 0.302 0.455
O 0.500 0.698 0.455
O 0.500 0.800 0.036


! PBE-GGA MgAg4Ge2O8, relaxed; values from VASP
! ρ = 5.6 Mg/m³
! M_tot = 0.0 μB/f.u.
! Symmetry = No. 1
! V = 14.4 Å³/atom
! Total energy after the MP2020 corrections = -5.436 eV/atom
! E_form = -19.8 eV per formula unit
&SYSTEM
  ibrav = 0, nat = 15, ntyp = 4
/
ATOMIC_SPECIES
Mg 24.30 Mg.upf
Ag 107.87 Ag.upf
Ge 72.64 Ge.upf
O 16.00 O.upf
CELL_PARAMETERS angstrom
6.165 0.000 0.000
2.689 5.606 0.000
3.064 0.016 6.231
ATOMIC_POSITIONS crystal
Mg 0.000 0.000 0.000
Ag 0.107 0.582 0.250
Ag 0.535 0.774 0.712
Ag 0.626 0.415 0.250
Ag 0.750 0.211 0.710
Ge 0.128 0.500 0.733
Ge 0.374 0.997 0.251
O 0.070 0.234 0.387
O 0.158 0.665 0.898
O 0.309 0.868 0.082
O 0.444 0.288 0.578
O 0.541 0.754 0.386
O 0.609 0.126 0.086
O 0.936 0.337 0.903
O 0.963 0.712 0.579


! PBE-GGA MgAg2Ge2O6, relaxed; values from VASP
! ρ = 6.3 Mg/m³
! M_tot = 0.0 μB/f.u.
! Symmetry = No. 10
! V = 11.5 Å³/atom
! Total energy after the MP2020 corrections = -5.704 eV/atom
! E_form = -16.5 eV per formula unit
&SYSTEM
  ibrav = 0, nat = 11, ntyp = 4
/
ATOMIC_SPECIES
Mg 24.30 Mg.upf
Ag 107.87 Ag.upf
Ge 72.64 Ge.upf
O 16.00 O.upf
CELL_PARAMETERS angstrom
5.900 0.000 0.000
0.000 2.909 0.000
-1.506 0.000 7.366
ATOMIC_POSITIONS crystal
Mg 0.000 0.000 0.000
Ag 0.075 0.500 0.686
Ag 0.925 0.500 0.314
Ge 0.500 0.000 0.000
Ge 0.500 0.000 0.500
O 0.259 0.500 0.013
O 0.295 0.500 0.426
O 0.402 0.000 0.750
O 0.598 0.000 0.250
O 0.705 0.500 0.574
O 0.741 0.500 0.987